Record 1
# K4V2S4O19 (PBE with a Hubbard U, relaxed)
data_K4V2S4O19
_chemical_formula_sum 'K8 V4 S8 O38'
_symmetry_space_group_name_H-M 'P 1'
_symmetry_Int_Tables_number 1
_cell_length_a 7.9620
_cell_length_b 10.7322
_cell_length_c 12.2589
_cell_angle_alpha 76.59
_cell_angle_beta 75.59
_cell_angle_gamma 71.21
loop_
_symmetry_equiv_pos_as_xyz
'x,y,z'
loop_
_atom_site_label
_atom_site_type_symbol
_atom_site_fract_x
_atom_site_fract_y
_atom_site_fract_z
_atom_site_occupancy
K1 K 0.2043 0.6520 0.0542 1
K2 K 0.7957 0.3480 0.9458 1
K3 K 0.5936 0.9670 0.1585 1
K4 K 0.4064 0.0330 0.8415 1
K5 K 0.9355 0.8350 0.4499 1
K6 K 0.0645 0.1650 0.5501 1
K7 K 0.3056 0.4553 0.6445 1
K8 K 0.6944 0.5447 0.3555 1
V1 V 0.5510 0.7139 0.6990 1
V2 V 0.4490 0.2861 0.3010 1
V3 V 0.8821 0.7766 0.8116 1
V4 V 0.1179 0.2234 0.1884 1
S1 S 0.9214 0.0018 0.8496 1
S2 S 0.0786 0.9982 0.1504 1
S3 S 0.8055 0.4749 0.6392 1
S4 S 0.1945 0.5251 0.3608 1
S5 S 0.4221 0.8246 0.5046 1
S6 S 0.5779 0.1754 0.4954 1
S7 S 0.2997 0.3181 0.9723 1
S8 S 0.7003 0.6819 0.0277 1
O1 O 0.3755 0.1785 0.0277 1
O2 O 0.6245 0.8215 0.9723 1
O3 O 0.6371 0.5251 0.7372 1
O4 O 0.3629 0.4749 0.2628 1
O5 O 0.5123 0.8748 0.5785 1
O6 O 0.4877 0.1252 0.4215 1
O7 O 0.2408 0.3227 0.8672 1
O8 O 0.7592 0.6773 0.1328 1
O9 O 0.9859 0.8562 0.9076 1
O10 O 0.0141 0.1438 0.0924 1
O11 O 0.8263 0.6029 0.5672 1
O12 O 0.1737 0.3971 0.4328 1
O13 O 0.7505 0.3940 0.5810 1
O14 O 0.2495 0.6060 0.4190 1
O15 O 0.4381 0.6842 0.5766 1
O16 O 0.5619 0.3158 0.4234 1
O17 O 0.1213 0.3677 0.0647 1
O18 O 0.8787 0.6323 0.9353 1
O19 O 0.0649 0.7078 0.7287 1
O20 O 0.9351 0.2922 0.2713 1
O21 O 0.8259 0.9754 0.7640 1
O22 O 0.1741 0.0246 0.2360 1
O23 O 0.7908 0.0839 0.9292 1
O24 O 0.2092 0.9161 0.0708 1
O25 O 0.9556 0.3996 0.6981 1
O26 O 0.0444 0.6004 0.3019 1
O27 O 0.2346 0.9024 0.5073 1
O28 O 0.7654 0.0976 0.4927 1
O29 O 0.4093 0.4070 0.9626 1
O30 O 0.5907 0.5930 0.0374 1
O31 O 0.7089 0.7743 0.7411 1
O32 O 0.2911 0.2257 0.2589 1
O33 O 0.0720 0.0545 0.7874 1
O34 O 0.9280 0.9455 0.2126 1
O35 O 0.5332 0.8163 0.3912 1
O36 O 0.4668 0.1837 0.6088 1
O37 O 0.3777 0.7421 0.8013 1
O38 O 0.6223 0.2579 0.1987 1
# Crystal system ... triclinic
# Calculated volume ... 947.3 Å³/cell
# Energy ... -6.206 eV/atom

Record 2
# KVS2O9 (PBE with a Hubbard U, relaxed)
data_KVS2O9
_chemical_formula_sum 'K4 V4 S8 O36'
_symmetry_space_group_name_H-M 'P 1'
_symmetry_Int_Tables_number 1
_cell_length_a 5.0673
_cell_length_b 9.0473
_cell_length_c 16.6232
_cell_angle_alpha 90.00
_cell_angle_beta 90.00
_cell_angle_gamma 90.00
loop_
_symmetry_equiv_pos_as_xyz
'x,y,z'
loop_
_atom_site_label
_atom_site_type_symbol
_atom_site_fract_x
_atom_site_fract_y
_atom_site_fract_z
_atom_site_occupancy
K1 K 0.2474 0.0737 0.0550 1
K2 K 0.7526 0.5737 0.4450 1
K3 K 0.2526 0.9263 0.5550 1
K4 K 0.7474 0.4263 0.9450 1
V1 V 0.7625 0.3491 0.6981 1
V2 V 0.7375 0.6509 0.1981 1
V3 V 0.2625 0.1509 0.3019 1
V4 V 0.2375 0.8491 0.8019 1
S1 S 0.2619 0.3782 0.5755 1
S2 S 0.7425 0.7494 0.6897 1
S3 S 0.7381 0.8782 0.9245 1
S4 S 0.7575 0.2506 0.1897 1
S5 S 0.2575 0.2494 0.8103 1
S6 S 0.2381 0.6218 0.0755 1
S7 S 0.7619 0.1218 0.4245 1
S8 S 0.2425 0.7506 0.3103 1
O1 O 0.7481 0.9742 0.9943 1
O2 O 0.2538 0.1100 0.7664 1
O3 O 0.7439 0.7209 0.9377 1
O4 O 0.2519 0.4742 0.5057 1
O5 O 0.0352 0.4270 0.6316 1
O6 O 0.5067 0.4243 0.6237 1
O7 O 0.2323 0.7583 0.3977 1
O8 O 0.9933 0.5757 0.1237 1
O9 O 0.2561 0.2209 0.5623 1
O10 O 0.2677 0.2417 0.8977 1
O11 O 0.7323 0.7417 0.6023 1
O12 O 0.7335 0.8201 0.1717 1
O13 O 0.2462 0.8900 0.2664 1
O14 O 0.9923 0.1562 0.2172 1
O15 O 0.2481 0.5258 0.0057 1
O16 O 0.9860 0.8421 0.7115 1
O17 O 0.5140 0.1579 0.2115 1
O18 O 0.7519 0.0258 0.4943 1
O19 O 0.2439 0.7791 0.0623 1
O20 O 0.0140 0.3421 0.7885 1
O21 O 0.2335 0.6799 0.8283 1
O22 O 0.4933 0.9243 0.8763 1
O23 O 0.0077 0.6562 0.2828 1
O24 O 0.5352 0.0730 0.3684 1
O25 O 0.5077 0.8438 0.7172 1
O26 O 0.4648 0.5730 0.1316 1
O27 O 0.7538 0.3900 0.2336 1
O28 O 0.7462 0.6100 0.7336 1
O29 O 0.2665 0.3201 0.3283 1
O30 O 0.4860 0.6579 0.2885 1
O31 O 0.7677 0.2583 0.1023 1
O32 O 0.9648 0.9270 0.8684 1
O33 O 0.0067 0.0757 0.3763 1
O34 O 0.4923 0.3438 0.7828 1
O35 O 0.7561 0.2791 0.4377 1
O36 O 0.7665 0.1799 0.6717 1
# Crystal system ... orthorhombic
# Calculated volume ... 762.1 Å³/cell
# Energy ... -6.308 eV/atom

Record 3
# KVS2O8 (PBE with a Hubbard U, relaxed)
data_KVS2O8
_chemical_formula_sum 'K4 V4 S8 O32'
_symmetry_space_group_name_H-M 'P 1'
_symmetry_Int_Tables_number 1
_cell_length_a 4.8893
_cell_length_b 13.0744
_cell_length_c 11.0959
_cell_angle_alpha 88.58
_cell_angle_beta 102.72
_cell_angle_gamma 100.77
loop_
_symmetry_equiv_pos_as_xyz
'x,y,z'
loop_
_atom_site_label
_atom_site_type_symbol
_atom_site_fract_x
_atom_site_fract_y
_atom_site_fract_z
_atom_site_occupancy
K1 K 0.0000 0.0000 0.0000 1
K2 K 0.5000 0.2500 0.7500 1
K3 K 0.0000 0.5000 0.5000 1
K4 K 0.5000 0.7500 0.2500 1
V1 V 0.7500 0.1250 0.3750 1
V2 V 0.2500 0.3750 0.1250 1
V3 V 0.7500 0.6250 0.8750 1
V4 V 0.2500 0.8750 0.6250 1
S1 S 0.3548 0.2957 0.4140 1
S2 S 0.8548 0.5457 0.1640 1
S3 S 0.3548 0.7957 0.9140 1
S4 S 0.8548 0.0457 0.6640 1
S5 S 0.1452 0.9543 0.3360 1
S6 S 0.6452 0.2043 0.0860 1
S7 S 0.1452 0.4543 0.8360 1
S8 S 0.6452 0.7043 0.5860 1
O1 O 0.4438 0.3699 0.5178 1
O2 O 0.9438 0.6199 0.2678 1
O3 O 0.4438 0.8699 0.0178 1
O4 O 0.9438 0.1199 0.7678 1
O5 O 0.0563 0.8801 0.2322 1
O6 O 0.5563 0.1301 0.9822 1
O7 O 0.0563 0.3801 0.7322 1
O8 O 0.5563 0.6301 0.4822 1
O9 O 0.4631 0.4885 0.8635 1
O10 O 0.9631 0.7385 0.6136 1
O11 O 0.4631 0.9885 0.3636 1
O12 O 0.9631 0.2385 0.1136 1
O13 O 0.9419 0.5959 0.0519 1
O14 O 0.4419 0.8459 0.8019 1
O15 O 0.9419 0.0959 0.5519 1
O16 O 0.4419 0.3459 0.3019 1
O17 O 0.0072 0.5476 0.8045 1
O18 O 0.5072 0.7976 0.5545 1
O19 O 0.0072 0.0476 0.3045 1
O20 O 0.5072 0.2976 0.0545 1
O21 O 0.0369 0.7615 0.8864 1
O22 O 0.5369 0.0115 0.6364 1
O23 O 0.0369 0.2615 0.3864 1
O24 O 0.5369 0.5115 0.1364 1
O25 O 0.4928 0.7024 0.9454 1
O26 O 0.9928 0.9524 0.6955 1
O27 O 0.4928 0.2024 0.4454 1
O28 O 0.9927 0.4524 0.1954 1
O29 O 0.5581 0.6541 0.6981 1
O30 O 0.0581 0.9041 0.4481 1
O31 O 0.5581 0.1541 0.1981 1
O32 O 0.0581 0.4041 0.9481 1
# Calculated volume ... 679.6 Å³/cell
# Energy ... -6.422 eV/atom

Record 4
# K4V3S5O23 (PBE with a Hubbard U, relaxed)
data_K4V3S5O23
_chemical_formula_sum 'K16 V12 S20 O92'
_symmetry_space_group_name_H-M 'P 1'
_symmetry_Int_Tables_number 1
_cell_length_a 16.3899
_cell_length_b 8.9088
_cell_length_c 14.8210
_cell_angle_alpha 71.36
_cell_angle_beta 90.00
_cell_angle_gamma 90.00
loop_
_symmetry_equiv_pos_as_xyz
'x,y,z'
loop_
_atom_site_label
_atom_site_type_symbol
_atom_site_fract_x
_atom_site_fract_y
_atom_site_fract_z
_atom_site_occupancy
K1 K 0.2023 0.2853 0.2383 1
K2 K 0.0235 0.6235 0.6228 1
K3 K 0.2523 0.7541 0.4866 1
K4 K 0.4743 0.8647 0.3560 1
K5 K 0.7523 0.2459 0.0134 1
K6 K 0.5257 0.1353 0.6440 1
K7 K 0.2977 0.2853 0.7383 1
K8 K 0.9743 0.1353 0.1440 1
K9 K 0.4765 0.6235 0.1228 1
K10 K 0.5235 0.3765 0.8772 1
K11 K 0.7023 0.7147 0.2617 1
K12 K 0.7477 0.2459 0.5134 1
K13 K 0.9765 0.3765 0.3772 1
K14 K 0.2477 0.7541 0.9866 1
K15 K 0.7977 0.7147 0.7617 1
K16 K 0.0257 0.8647 0.8560 1
V1 V 0.6386 0.5973 0.5798 1
V2 V 0.1411 0.0761 0.5880 1
V3 V 0.8909 0.2621 0.7464 1
V4 V 0.3589 0.0761 0.0880 1
V5 V 0.8589 0.9239 0.4120 1
V6 V 0.8614 0.5973 0.0798 1
V7 V 0.6091 0.2621 0.2464 1
V8 V 0.1386 0.4027 0.9202 1
V9 V 0.3909 0.7379 0.7536 1
V10 V 0.6411 0.9239 0.9120 1
V11 V 0.1091 0.7379 0.2536 1
V12 V 0.3614 0.4027 0.4202 1
S1 S 0.6558 0.9622 0.4410 1
S2 S 0.5629 0.4418 0.3991 1
S3 S 0.9371 0.4418 0.8991 1
S4 S 0.3216 0.7179 0.2355 1
S5 S 0.1784 0.7179 0.7355 1
S6 S 0.9352 0.0574 0.6013 1
S7 S 0.1558 0.0378 0.0590 1
S8 S 0.8386 0.5649 0.5557 1
S9 S 0.4352 0.9426 0.8987 1
S10 S 0.3442 0.0378 0.5590 1
S11 S 0.6614 0.5649 0.0557 1
S12 S 0.6784 0.2821 0.7645 1
S13 S 0.1614 0.4351 0.4443 1
S14 S 0.5648 0.0574 0.1013 1
S15 S 0.8442 0.9622 0.9410 1
S16 S 0.3386 0.4351 0.9443 1
S17 S 0.4371 0.5582 0.6009 1
S18 S 0.8216 0.2821 0.2645 1
S19 S 0.0648 0.9426 0.3987 1
S20 S 0.0629 0.5582 0.1009 1
O1 O 0.1506 0.2610 0.4609 1
O2 O 0.1236 0.8599 0.6909 1
O3 O 0.2548 0.9994 0.5604 1
O4 O 0.3817 0.8364 0.8622 1
O5 O 0.4490 0.3999 0.6689 1
O6 O 0.8797 0.0377 0.8430 1
O7 O 0.3900 0.4957 0.0042 1
O8 O 0.3704 0.6267 0.3223 1
O9 O 0.3283 0.3131 0.3476 1
O10 O 0.6236 0.1401 0.8091 1
O11 O 0.6203 0.0377 0.3430 1
O12 O 0.6506 0.7390 0.0391 1
O13 O 0.5159 0.6485 0.5774 1
O14 O 0.0510 0.3999 0.1689 1
O15 O 0.2493 0.4687 0.4597 1
O16 O 0.8275 0.8297 0.3409 1
O17 O 0.1183 0.8364 0.3622 1
O18 O 0.1219 0.6521 0.1405 1
O19 O 0.8836 0.0160 0.0130 1
O20 O 0.9815 0.8681 0.4180 1
O21 O 0.8704 0.3733 0.1777 1
O22 O 0.2559 0.7712 0.7662 1
O23 O 0.6100 0.5043 0.9958 1
O24 O 0.9490 0.6001 0.8311 1
O25 O 0.3764 0.8599 0.1909 1
O26 O 0.2507 0.4687 0.9597 1
O27 O 0.1021 0.9358 0.4918 1
O28 O 0.8283 0.6869 0.1524 1
O29 O 0.3797 0.9623 0.6570 1
O30 O 0.8558 0.7884 0.9559 1
O31 O 0.1717 0.3131 0.8476 1
O32 O 0.7493 0.5313 0.0403 1
O33 O 0.7507 0.5313 0.5403 1
O34 O 0.6183 0.1636 0.1378 1
O35 O 0.2452 0.9994 0.0604 1
O36 O 0.6407 0.4906 0.1601 1
O37 O 0.3593 0.5094 0.8399 1
O38 O 0.1407 0.5094 0.3399 1
O39 O 0.3275 0.1703 0.1591 1
O40 O 0.3979 0.9358 0.9918 1
O41 O 0.1007 0.5554 0.0100 1
O42 O 0.3558 0.2116 0.5441 1
O43 O 0.6725 0.8297 0.8409 1
O44 O 0.7441 0.2288 0.2338 1
O45 O 0.0107 0.7162 0.2625 1
O46 O 0.8993 0.4446 0.9900 1
O47 O 0.3993 0.5554 0.5100 1
O48 O 0.6442 0.7884 0.4559 1
O49 O 0.9386 0.8975 0.6694 1
O50 O 0.3781 0.6521 0.6405 1
O51 O 0.1895 0.6260 0.6706 1
O52 O 0.8593 0.4906 0.6601 1
O53 O 0.0185 0.1319 0.5820 1
O54 O 0.9841 0.6485 0.0774 1
O55 O 0.1203 0.9623 0.1570 1
O56 O 0.5107 0.2838 0.2375 1
O57 O 0.6007 0.4446 0.4900 1
O58 O 0.8900 0.5043 0.4958 1
O59 O 0.1100 0.4957 0.5042 1
O60 O 0.4841 0.3515 0.4226 1
O61 O 0.8817 0.1636 0.6378 1
O62 O 0.1296 0.6267 0.8223 1
O63 O 0.6219 0.3479 0.3595 1
O64 O 0.4893 0.7162 0.7625 1
O65 O 0.5614 0.8975 0.1694 1
O66 O 0.8979 0.0642 0.5082 1
O67 O 0.8781 0.3479 0.8595 1
O68 O 0.8105 0.3740 0.3294 1
O69 O 0.3105 0.6260 0.1706 1
O70 O 0.7452 0.0006 0.4396 1
O71 O 0.1725 0.1703 0.6591 1
O72 O 0.2441 0.7712 0.2662 1
O73 O 0.1164 0.9840 0.9870 1
O74 O 0.5510 0.6001 0.3311 1
O75 O 0.6021 0.0642 0.0082 1
O76 O 0.6717 0.6869 0.6524 1
O77 O 0.0159 0.3515 0.9226 1
O78 O 0.4386 0.1025 0.8306 1
O79 O 0.7559 0.2288 0.7338 1
O80 O 0.6296 0.3733 0.6777 1
O81 O 0.0614 0.1025 0.3306 1
O82 O 0.7548 0.0006 0.9396 1
O83 O 0.3494 0.2610 0.9609 1
O84 O 0.4815 0.1319 0.0820 1
O85 O 0.6895 0.3740 0.8294 1
O86 O 0.6164 0.0160 0.5130 1
O87 O 0.3836 0.9840 0.4870 1
O88 O 0.8764 0.1401 0.3091 1
O89 O 0.9893 0.2838 0.7375 1
O90 O 0.8494 0.7390 0.5391 1
O91 O 0.5185 0.8681 0.9180 1
O92 O 0.1442 0.2116 0.0441 1
# Crystal system ... monoclinic
# Calculated volume ... 2050.5 Å³/cell
# Energy ... -6.274 eV/atom

Record 5
# K3VS2O10 (PBE with a Hubbard U, relaxed)
data_K3VS2O10
_chemical_formula_sum 'K6 V2 S4 O20'
_symmetry_space_group_name_H-M 'P 1'
_symmetry_Int_Tables_number 1
_cell_length_a 7.3952
_cell_length_b 7.5345
_cell_length_c 10.2328
_cell_angle_alpha 76.26
_cell_angle_beta 90.00
_cell_angle_gamma 90.00
loop_
_symmetry_equiv_pos_as_xyz
'x,y,z'
loop_
_atom_site_label
_atom_site_type_symbol
_atom_site_fract_x
_atom_site_fract_y
_atom_site_fract_z
_atom_site_occupancy
K1 K 0.6115 0.5819 0.5893 1
K2 K 0.1115 0.4181 0.4107 1
K3 K 0.3422 0.9870 0.7302 1
K4 K 0.8422 0.0130 0.2698 1
K5 K 0.9158 0.7098 0.9510 1
K6 K 0.4158 0.2902 0.0490 1
V1 V 0.3439 0.7538 0.1468 1
V2 V 0.8439 0.2462 0.8532 1
S1 S 0.3153 0.9509 0.3435 1
S2 S 0.8153 0.0491 0.6565 1
S3 S 0.6513 0.5367 0.2537 1
S4 S 0.1513 0.4633 0.7463 1
O1 O 0.5899 0.6722 0.1192 1
O2 O 0.0899 0.3278 0.8808 1
O3 O 0.4878 0.5219 0.3407 1
O4 O 0.9878 0.4781 0.6593 1
O5 O 0.4802 0.9477 0.2572 1
O6 O 0.9802 0.0523 0.7428 1
O7 O 0.1915 0.8129 0.2929 1
O8 O 0.6915 0.1871 0.7071 1
O9 O 0.3529 0.8818 0.4864 1
O10 O 0.8529 0.1182 0.5136 1
O11 O 0.8136 0.0805 0.9902 1
O12 O 0.3136 0.9195 0.0098 1
O13 O 0.8028 0.6228 0.3086 1
O14 O 0.3028 0.3772 0.6914 1
O15 O 0.7021 0.3664 0.2182 1
O16 O 0.2021 0.6336 0.7818 1
O17 O 0.2255 0.1292 0.3101 1
O18 O 0.7255 0.8708 0.6899 1
O19 O 0.2121 0.5807 0.1304 1
O20 O 0.7121 0.4193 0.8696 1
# Crystal system ... monoclinic
# Maximum piezoelectric response ... 0.34 C/m²
# Calculated volume ... 553.8 Å³/cell
# Energy ... -6.090 eV/atom

Record 6
# KSrSbWO6 (PBE with a Hubbard U, relaxed)
data_KSrSbWO6
_chemical_formula_sum 'K1 Sr1 Sb1 W1 O6'
_symmetry_space_group_name_H-M 'P 1'
_symmetry_Int_Tables_number 1
_cell_length_a 5.9665
_cell_length_b 5.9665
_cell_length_c 5.9665
_cell_angle_alpha 60.00
_cell_angle_beta 60.00
_cell_angle_gamma 60.00
loop_
_symmetry_equiv_pos_as_xyz
'x,y,z'
loop_
_atom_site_label
_atom_site_type_symbol
_atom_site_fract_x
_atom_site_fract_y
_atom_site_fract_z
_atom_site_occupancy
K1 K 0.2500 0.2500 0.2500 1
Sr1 Sr 0.7500 0.7500 0.7500 1
Sb1 Sb 0.0000 0.0000 0.0000 1
W1 W 0.5000 0.5000 0.5000 1
O1 O 0.7317 0.2683 0.2683 1
O2 O 0.2683 0.7317 0.7317 1
O3 O 0.7317 0.2683 0.7317 1
O4 O 0.2683 0.7317 0.2683 1
O5 O 0.7317 0.7317 0.2683 1
O6 O 0.2683 0.2683 0.7317 1
# Crystal system ... cubic
# Calculated volume ... 150.2 Å³/cell
# Energy relative to the lowest polymorph listed for this composition ... 6 meV per atom
# Energy ... -6.373 eV/atom

Record 7
# KSrSbWO6 (PBE with a Hubbard U, relaxed)
data_KSrSbWO6
_chemical_formula_sum 'K4 Sr4 Sb4 W4 O24'
_symmetry_space_group_name_H-M 'P 1'
_symmetry_Int_Tables_number 1
_cell_length_a 8.4060
_cell_length_b 8.4319
_cell_length_c 8.4105
_cell_angle_alpha 90.00
_cell_angle_beta 90.00
_cell_angle_gamma 90.00
loop_
_symmetry_equiv_pos_as_xyz
'x,y,z'
loop_
_atom_site_label
_atom_site_type_symbol
_atom_site_fract_x
_atom_site_fract_y
_atom_site_fract_z
_atom_site_occupancy
K1 K 0.5000 0.0000 0.5000 1
K2 K 0.5000 0.5000 0.0000 1
K3 K 0.0000 0.5000 0.0000 1
K4 K 0.0000 0.0000 0.5000 1
Sr1 Sr 0.0000 0.5000 0.5000 1
Sr2 Sr 0.5000 0.0000 0.0000 1
Sr3 Sr 0.0000 0.0000 0.0000 1
Sr4 Sr 0.5000 0.5000 0.5000 1
Sb1 Sb 0.7500 0.7500 0.7500 1
Sb2 Sb 0.2500 0.2500 0.7500 1
Sb3 Sb 0.2500 0.7500 0.2500 1
Sb4 Sb 0.7500 0.2500 0.2500 1
W1 W 0.2500 0.2500 0.2500 1
W2 W 0.7500 0.7500 0.2500 1
W3 W 0.7500 0.2500 0.7500 1
W4 W 0.2500 0.7500 0.7500 1
O1 O 0.0191 0.2351 0.2637 1
O2 O 0.9809 0.7649 0.2637 1
O3 O 0.9809 0.2351 0.7363 1
O4 O 0.0191 0.7649 0.7363 1
O5 O 0.2649 0.0184 0.2239 1
O6 O 0.2649 0.9816 0.7761 1
O7 O 0.7351 0.9816 0.2239 1
O8 O 0.7351 0.0184 0.7761 1
O9 O 0.2339 0.2564 0.0188 1
O10 O 0.7661 0.2564 0.9812 1
O11 O 0.2339 0.7436 0.9812 1
O12 O 0.7661 0.7436 0.0188 1
O13 O 0.4809 0.2649 0.2363 1
O14 O 0.5191 0.7351 0.2363 1
O15 O 0.5191 0.2649 0.7637 1
O16 O 0.4809 0.7351 0.7637 1
O17 O 0.2351 0.4816 0.2761 1
O18 O 0.2351 0.5184 0.7239 1
O19 O 0.7649 0.5184 0.2761 1
O20 O 0.7649 0.4816 0.7239 1
O21 O 0.2661 0.2436 0.4812 1
O22 O 0.7339 0.2436 0.5188 1
O23 O 0.2661 0.7564 0.5188 1
O24 O 0.7339 0.7564 0.4812 1
# Crystal system ... orthorhombic
# Calculated volume ... 596.1 Å³/cell
# Energy relative to the lowest polymorph listed for this composition ... 0 meV per atom
# Energy ... -6.379 eV/atom

Results for mass density: 2.42, 2.60, 2.76, 2.71, 2.35, 5.84, 5.89 (in Mg/m³, following the order of the records).
Results for DFT formation energy: -2.181, -2.069, -2.185, -2.123, -2.240, -2.271, -2.277 (in eV per atom, following the order of the records).
Results for M_tot: 0.01, 0.00, 0.00, 0.03, 0.00, 0.00, 0.00 (in μB per atom, following the order of the records).